First-principles (PBE) data for crystalline Na2La3Ta5Si6S6O48 at its relaxed geometry, as listed in the Materials Project.

Cell and atoms, written as extended XYZ:
```
210
Lattice="9.1066 0.0000 0.0000 -0.0554 15.7387 0.0000 -0.1102 -0.0480 23.6881" Properties=species:S:1:pos:R:3 pbc="T T T"
Na 0.0000 0.0000 0.0000
Na -0.0915 15.6554 12.0900
Na 4.0013 7.8598 12.0631
Na 4.0238 2.3266 19.9934
Na 4.2750 7.5580 0.2392
Na 8.8795 10.4666 8.2180
La -0.1058 15.5508 20.4725
La 0.0386 10.4450 11.7221
La 4.3116 13.1987 0.9623
La 4.2663 2.6321 23.5045
La 4.3940 7.8219 8.8203
La 4.3846 7.8354 20.5065
La 4.4368 2.5029 16.2779
La 8.7724 10.2277 4.6650
La 8.8917 0.0380 8.7908
Ta 0.0333 5.1038 0.9317
Ta 4.1543 12.9877 12.6523
Ta 4.1915 13.0289 19.4193
Ta 4.3312 13.1248 7.6587
Ta 4.4287 2.6259 11.4439
Ta 4.4429 7.6093 15.5647
Ta 4.5664 2.6597 4.5833
Ta 4.5605 7.8885 3.7156
Ta 8.7968 15.6849 3.8832
Ta 8.8752 10.2213 23.3203
Ta 8.8887 15.5381 15.8231
Ta 8.9260 10.3717 16.4839
Ta 8.9719 5.1875 12.7207
Ta 8.9520 5.2886 19.5619
Ta 9.0314 4.9931 7.7876
Si 1.0492 2.9566 21.9975
Si 1.0909 12.7754 14.1652
Si 1.0988 7.2931 22.1351
Si 1.2132 8.0780 14.1574
Si 1.6665 12.8662 22.0292
Si 2.3999 5.0856 10.3020
Si 2.5268 15.6801 18.0961
Si 3.0654 10.8602 10.1150
Si 3.1336 4.9496 2.3623
Si 3.1104 15.2841 10.2423
Si 5.6202 10.2046 6.2833
Si 5.7151 4.8508 13.9759
Si 6.2227 -0.0125 6.2162
Si 7.1347 2.4995 2.1901
Si 7.0493 7.7725 18.0012
Si 7.4654 13.2027 18.0472
Si 7.6143 8.0642 2.0862
Si 7.6220 3.0013 10.2757
S 1.2676 2.2819 6.1584
S 1.2389 13.4274 6.2105
S 1.5730 2.4618 13.9960
S 1.6745 7.5904 6.2708
S 2.5198 10.2070 2.2450
S 2.9650 0.3421 2.5207
S 2.9104 5.4821 18.0248
S 2.9479 10.1050 17.9731
S 5.4722 15.2816 21.8195
S 5.8273 5.4883 6.1276
S 5.7726 10.7985 22.0807
S 5.8652 0.1113 13.9529
S 6.1533 10.3468 14.1570
S 6.4332 5.0928 21.9594
S 6.8018 12.9506 10.1620
S 7.6939 2.3406 18.0272
S 7.8025 7.2904 10.1233
S 7.8437 12.8921 2.2303
O 0.3136 1.5341 22.0941
O 0.2810 8.7593 22.3300
O 0.3896 12.3925 12.7825
O 0.4427 8.9286 15.3255
O 0.5265 3.5990 6.3793
O 0.5427 1.5717 5.0487
O 0.5047 14.2749 14.6176
O 0.5436 6.5897 13.8877
O 0.5470 3.8980 20.6670
O 0.5330 6.6603 20.6903
O 0.6211 13.9725 7.4160
O 0.6520 3.6338 13.7362
O 0.6239 3.7780 23.3899
O 0.6124 14.0651 22.0378
O 0.7049 1.2554 14.1687
O 0.6443 6.4225 23.4057
O 0.7583 8.7439 6.1905
O 0.8094 6.3374 6.4332
O 0.7492 11.6930 15.3391
O 0.8092 12.0481 5.9888
O 0.8781 14.3005 5.0170
O 0.8299 11.4313 22.3353
O 1.2275 1.5075 7.3865
O 1.2896 8.9002 12.7829
O 1.4086 5.1803 11.5673
O 1.3588 15.5401 16.8570
O 1.4396 4.9406 8.8805
O 1.4143 5.5078 18.1443
O 1.5142 0.1880 2.8328
O 1.5067 5.0957 2.1561
O 1.4554 10.7501 9.9646
O 1.5180 15.4384 10.2638
O 1.5075 10.3801 17.6463
O 1.6271 10.0372 1.0597
O 1.7827 10.4440 3.4746
O 1.8702 0.2700 19.4650
O 2.2630 2.7766 15.2466
O 2.4518 7.7306 7.5011
O 2.5017 2.2540 12.8664
O 2.5323 7.4609 5.0757
O 2.6490 2.5944 5.7786
O 2.5775 13.0117 23.3415
O 2.6724 2.9068 21.8816
O 2.6759 7.5796 22.1134
O 2.7320 13.4724 6.3316
O 2.7104 12.7369 20.6860
O 2.7465 12.9639 13.9361
O 2.7696 7.8501 14.6872
O 3.0613 0.9541 1.1945
O 2.9655 9.3333 19.2160
O 3.2285 3.6578 10.4352
O 3.3051 8.8927 2.3984
O 3.2914 6.3348 16.8362
O 3.3761 6.3299 10.2914
O 3.3058 14.1883 18.2775
O 3.3676 4.1065 17.8371
O 3.4935 3.8994 3.5794
O 3.4665 11.6521 11.5624
O 3.5505 1.2153 3.5675
O 3.5191 11.2471 2.0453
O 3.4907 6.0338 19.2493
O 3.5588 14.7808 2.6273
O 3.5407 14.3547 11.5692
O 3.5763 11.8196 8.8707
O 3.6252 9.4229 16.8623
O 3.6122 11.4292 18.2091
O 3.7189 6.3963 2.8965
O 3.7004 1.0405 17.7900
O 3.7027 14.5769 8.8767
O 3.8995 4.5497 1.0150
O 3.8389 9.4573 10.2985
O 3.9237 0.9824 10.6020
O 4.8267 11.6382 6.4905
O 4.8235 0.8237 21.6515
O 4.9098 3.9859 12.8009
O 4.9632 6.3619 14.2423
O 5.0248 9.3293 4.8991
O 5.0315 14.3801 20.6595
O 5.1320 5.8981 7.3271
O 5.1832 0.4775 15.1993
O 5.1015 14.6415 23.0852
O 5.2471 1.2003 5.6498
O 5.1980 9.1998 14.5261
O 5.2928 4.1145 5.7673
O 5.3199 14.3695 6.4997
O 5.3122 11.5568 13.9663
O 5.2934 9.4010 22.0980
O 5.2898 11.4847 23.2685
O 5.4232 9.1908 7.4930
O 5.3794 14.4593 13.5999
O 5.4482 11.4772 20.8161
O 5.5653 6.4212 4.9778
O 5.5588 1.0745 12.8654
O 5.5768 6.3044 22.0376
O 5.6084 3.8800 21.8144
O 5.6832 4.1010 15.3699
O 5.9190 8.0160 2.4255
O 5.8417 13.0452 18.3720
O 5.9637 2.9270 10.4089
O 5.9173 12.9021 11.3564
O 5.9423 7.5038 16.7474
O 6.0545 2.7302 3.4673
O 6.0250 13.0377 8.8783
O 6.1904 8.1624 19.2923
O 6.3119 1.9756 0.9382
O 6.2612 2.5941 17.8269
O 6.3452 7.2379 10.1795
O 6.4350 13.2071 2.0461
O 6.8416 9.9544 12.9308
O 6.9189 15.4243 21.7938
O 7.1315 0.4548 7.4304
O 7.0780 10.5579 15.2883
O 7.1968 10.5374 6.1648
O 7.2335 5.2396 13.5440
O 7.2918 5.3424 6.3349
O 7.2396 5.1968 20.6722
O 7.2969 15.4097 4.9400
O 7.2883 5.0314 23.1376
O 7.3568 0.0787 14.1809
O 7.3109 10.7428 22.1975
O 7.6080 11.7193 10.0855
O 7.6460 14.1585 10.2647
O 7.7892 14.3789 16.7868
O 7.8560 1.5278 19.2225
O 7.9103 9.2433 0.9390
O 8.0161 6.5741 1.6316
O 7.9480 6.4262 18.3347
O 8.0139 3.7663 8.7997
O 8.0721 3.7979 1.9797
O 8.0336 12.1615 3.4786
O 8.1187 1.2556 2.7815
O 8.0244 8.9961 17.4970
O 8.0563 11.7941 17.4432
O 8.1615 3.9543 11.4473
O 8.2616 8.4665 3.4794
O 8.2614 1.5471 10.3639
O 8.2507 6.5039 8.8751
O 8.2480 1.5846 16.8076
O 8.2589 13.7277 19.2977
O 8.3261 6.6800 11.3554
O 8.3433 8.6372 9.9612
O 8.4536 12.2347 1.0630
O 8.4178 3.6409 18.1498
O 8.5471 14.2756 2.4267
```

=====

First-principles (PBE) data for crystalline Na6La3TaSi4S2O24 at its relaxed geometry, as listed in the Materials Project.

Cell and atoms, written as extended XYZ:
```
120
Lattice="9.5846 0.0000 0.0000 4.7783 8.3119 0.0000 0.3030 0.1012 23.4078" Properties=species:S:1:pos:R:3 pbc="T T T"
Na 0.0000 0.0000 0.0000
Na 1.8214 2.7063 21.4181
Na 3.0776 0.5098 19.4433
Na 4.3953 2.7213 7.8560
Na 6.3203 5.6558 13.5125
Na 6.3311 5.8892 1.9306
Na 4.8450 2.6979 15.4569
Na 9.2579 5.9413 15.3580
Na 7.8180 3.0119 11.7764
Na 7.6300 2.6874 3.7934
Na 6.4966 0.1683 17.3113
Na 11.0457 8.0253 5.6456
Na 8.0237 2.4380 19.0935
Na 9.7144 5.4054 7.6740
Na 8.9226 0.3867 7.3579
Na 12.4586 5.5372 19.2610
Na 10.9360 2.9471 9.7423
Na 12.5201 5.2937 11.4344
La 6.3174 5.6348 21.7763
La 6.1530 5.4993 10.1034
La 6.1273 0.1781 20.9132
La 10.6023 8.1750 2.2959
La 10.8021 8.3379 9.3561
La 6.1504 0.0742 13.9129
La 10.8060 2.8799 5.9529
La 11.0153 2.7540 17.6685
La 10.8391 2.6941 1.6382
Ta 6.0221 5.6343 16.8170
Ta 5.9850 5.5669 5.3710
Ta 11.0174 2.8786 13.3946
Si 2.7196 0.2651 15.5625
Si 4.8853 3.1893 19.2499
Si 4.5147 2.6261 11.6705
Si 3.2584 0.1683 23.2098
Si 7.4605 3.0646 7.6458
Si 9.1691 5.3334 4.0272
Si 9.5188 5.6235 11.7459
Si 8.0638 2.9899 15.6057
Si 9.3319 0.1248 3.9154
Si 12.4498 5.3335 15.6204
Si 12.8202 5.5874 7.7683
Si 14.3555 7.9970 19.3253
S 4.3538 2.9420 3.9555
S 7.5068 7.9505 7.5634
S 9.0447 5.6717 19.2032
S 7.8212 2.5943 23.3751
S 12.5032 5.8527 23.2362
S 9.1872 0.2266 11.6268
O 4.0298 5.5604 9.1875
O 4.4013 5.7711 23.3138
O 5.3563 7.3548 20.6945
O 5.3223 7.4028 11.5223
O 1.9951 1.3018 14.4201
O 5.3436 6.9603 18.0519
O 2.2641 1.4918 23.2704
O 4.4402 5.5949 6.5655
O 5.2073 6.9255 4.2190
O 2.8699 2.6674 12.0386
O 3.2549 2.9987 19.2995
O 4.5574 5.3290 15.5698
O 2.2622 1.0386 7.4178
O 3.4355 3.0827 2.8147
O 2.7013 1.0272 16.9847
O 3.6291 2.7224 5.2278
O 4.9811 4.2100 11.6403
O 6.7192 7.1081 15.6100
O 6.9852 7.4257 8.8415
O 5.1389 4.2378 4.0320
O 6.7569 7.0632 0.0112
O 5.3272 4.0571 20.5342
O 7.0037 7.0928 6.4306
O 5.4419 4.1064 17.8956
O 4.7370 1.8054 10.2431
O 4.0258 0.1595 21.7251
O 4.0663 0.1153 0.9912
O 5.3855 1.9617 12.8634
O 9.0654 8.3150 15.2566
O 5.3562 1.8710 3.7662
O 7.4885 5.4353 4.1065
O 8.9948 7.9000 7.5435
O 6.8274 4.0804 6.4297
O 5.6772 1.7356 19.1814
O 7.2595 4.4879 15.6244
O 8.1173 5.7045 18.0303
O 7.2448 3.9509 23.3977
O 7.9080 5.3228 11.7136
O 8.2840 5.5604 20.4704
O 7.2368 3.8613 9.0482
O 6.6205 1.6423 7.6197
O 9.8493 6.9327 19.1971
O 9.7284 6.8396 3.8625
O 6.9739 1.8160 15.3800
O 9.9205 6.5172 13.0243
O 7.0826 1.7545 1.1801
O 7.4093 1.8417 22.1419
O 10.1897 6.2583 10.3537
O 9.7402 4.7707 5.4493
O 8.8076 2.8109 17.0215
O 9.4609 4.1920 2.8708
O 9.9729 4.5032 19.1880
O 9.2756 3.0886 14.3930
O 9.0818 2.7875 7.5553
O 9.3119 2.6504 23.3406
O 7.7066 0.0844 3.8062
O 11.8339 6.7820 15.3652
O 10.2866 4.1187 11.9584
O 11.9174 6.9595 7.6120
O 12.7114 7.9738 19.2347
O 11.7897 6.5983 0.9792
O 8.3672 0.4045 10.3779
O 12.0723 6.5034 21.9608
O 13.0592 8.2801 12.7676
O 9.9177 1.5190 11.8407
O 9.6829 1.0448 5.2291
O 11.8964 4.5068 23.3186
O 11.9696 4.7640 17.0375
O 10.1601 1.2159 19.2645
O 11.9321 4.1988 7.6664
O 12.0113 4.1741 14.4266
O 10.0210 0.7549 2.5626
```

=====

no.,calculated volume (Å³/f.u.),raw total energy (eV per atom),energy of formation (eV per atom)
1,1131.7,-7.647,-2.8091
2,621.6,-7.053,-2.8818